Record 1
VASP calculation (PBE with a Hubbard U) on an optimized crystal structure of MoF5.

Lattice parameters (Å, degrees): 8.8570 8.8570 5.4716 91.32 91.32 111.31
Fractional positions:
Mo 0.2017 0.7983 0.0000
Mo 0.2559 0.2559 0.7376
Mo 0.7441 0.7441 0.2624
Mo 0.7983 0.2017 0.0000
F 0.0272 0.2264 0.8725
F 0.0895 0.7214 0.7046
F 0.1374 0.1374 0.4669
F 0.1739 0.5927 0.1179
F 0.2264 0.0272 0.8725
F 0.2724 0.4584 0.6204
F 0.2786 0.9105 0.2954
F 0.3319 0.3319 0.0532
F 0.4073 0.8261 0.8821
F 0.4584 0.2724 0.6204
F 0.5416 0.7276 0.3796
F 0.5927 0.1739 0.1179
F 0.6681 0.6681 0.9468
F 0.7214 0.0895 0.7046
F 0.7276 0.5416 0.3796
F 0.7736 0.9728 0.1275
F 0.8261 0.4073 0.8821
F 0.8626 0.8626 0.5331
F 0.9105 0.2786 0.2954
F 0.9728 0.7736 0.1275

Properties
energy relative to the elements	-2635	meV/atom
DFT total energy	-30.72	eV per formula unit
energy relative to the lowest polymorph listed for this composition	0.0	meV per atom

Record 2
VASP calculation (PBE with a Hubbard U) on an optimized crystal structure of MoF6.

Lattice parameters (Å, degrees): 5.6794 5.6794 5.6794 109.47 109.47 109.47
Fractional positions:
Mo 0.0000 0.0000 0.0000
F 0.0000 0.2849 0.2849
F 0.0000 0.7151 0.7151
F 0.2849 0.0000 0.2849
F 0.2849 0.2849 0.0000
F 0.7151 0.0000 0.7151
F 0.7151 0.7151 0.0000

Properties
energy relative to the elements	-2583	meV/atom
DFT total energy	-34.44	eV per formula unit
energy relative to the lowest polymorph listed for this composition	5.1	meV per atom

Record 3
VASP calculation (PBE with a Hubbard U) on an optimized crystal structure of MoF6.

Lattice parameters (Å, degrees): 10.0776 9.0109 5.2111 90.00 90.00 90.00
Fractional positions:
Mo 0.1339 0.2500 0.0682
Mo 0.3661 0.7500 0.5682
Mo 0.6339 0.2500 0.4318
Mo 0.8661 0.7500 0.9318
F 0.0109 0.2500 0.8001
F 0.0361 0.1038 0.2379
F 0.0361 0.3962 0.2379
F 0.2313 0.1031 0.8995
F 0.2313 0.3969 0.8995
F 0.2420 0.7500 0.8349
F 0.2580 0.2500 0.3349
F 0.2687 0.6031 0.3995
F 0.2687 0.8969 0.3995
F 0.4639 0.6038 0.7379
F 0.4639 0.8962 0.7379
F 0.4891 0.7500 0.3001
F 0.5109 0.2500 0.6999
F 0.5361 0.1038 0.2621
F 0.5361 0.3962 0.2621
F 0.7313 0.1031 0.6005
F 0.7313 0.3969 0.6005
F 0.7420 0.7500 0.6651
F 0.7580 0.2500 0.1651
F 0.7687 0.6031 0.1005
F 0.7687 0.8969 0.1005
F 0.9639 0.6038 0.7621
F 0.9639 0.8962 0.7621
F 0.9891 0.7500 0.1999

Properties
energy relative to the elements	-2588	meV/atom
DFT total energy	-34.48	eV per formula unit
energy relative to the lowest polymorph listed for this composition	0.0	meV per atom

Record 4
VASP calculation (PBE with a Hubbard U) on an optimized crystal structure of MoF4.

Lattice parameters (Å, degrees): 5.0693 5.3331 6.3782 113.59 110.85 90.02
Fractional positions:
Mo 0.0000 0.0000 0.0000
Mo 0.4422 0.5008 0.0012
F 0.1157 0.6438 0.7875
F 0.1361 0.1448 0.7883
F 0.2826 0.3812 0.2263
F 0.3608 0.8818 0.2252
F 0.5407 0.3715 0.7205
F 0.6497 0.8709 0.7187
F 0.7528 0.2914 0.1444
F 0.8186 0.7925 0.1453

Properties
energy relative to the elements	-2639	meV/atom
piezoelectric modulus e_max	0.2	C/m²
total magnetic moment	0.00	Bohr magnetons per cell
DFT total energy	-26.65	eV per formula unit

Record 5
VASP calculation (PBE with a Hubbard U) on an optimized crystal structure of MoF5.

Lattice parameters (Å, degrees): 5.8618 5.8618 8.5650 90.00 90.00 144.31
Fractional positions:
Mo 0.0000 0.0000 0.0000
Mo 0.0000 0.0000 0.5000
F 0.0044 0.9956 0.7500
F 0.1613 0.8387 0.0689
F 0.1613 0.8387 0.4311
F 0.4290 0.5710 0.0922
F 0.4290 0.5710 0.4078
F 0.5710 0.4290 0.5922
F 0.5710 0.4290 0.9078
F 0.8387 0.1613 0.5689
F 0.8387 0.1613 0.9311
F 0.9956 0.0044 0.2500

Properties
energy relative to the elements	-2347	meV/atom
total magnetic moment	2.00	Bohr magnetons per cell
DFT total energy	-28.99	eV per formula unit
energy relative to the lowest polymorph listed for this composition	287.8	meV per atom

Record 6
VASP calculation (PBE with a Hubbard U) on an optimized crystal structure of MoF5.

Lattice parameters (Å, degrees): 5.6007 9.9909 7.9303 90.00 110.66 90.00
Fractional positions:
Mo 0.1188 0.2487 0.4032
Mo 0.1188 0.2513 0.9032
Mo 0.8812 0.7487 0.0968
Mo 0.8812 0.7513 0.5968
F 0.1171 0.1943 0.6534
F 0.1171 0.3057 0.1534
F 0.1183 0.6115 0.2022
F 0.1183 0.8885 0.7022
F 0.1642 0.6380 0.6282
F 0.1642 0.8620 0.1282
F 0.3584 0.1182 0.0123
F 0.3584 0.3818 0.5123
F 0.3983 0.1335 0.4323
F 0.3983 0.3665 0.9323
F 0.6017 0.6335 0.0677
F 0.6017 0.8665 0.5677
F 0.6416 0.6182 0.4877
F 0.6416 0.8818 0.9877
F 0.8358 0.1380 0.8718
F 0.8358 0.3620 0.3718
F 0.8817 0.1115 0.2978
F 0.8817 0.3885 0.7978
F 0.8829 0.6943 0.8466
F 0.8829 0.8057 0.3466

Properties
energy relative to the elements	-2585	meV/atom
DFT total energy	-30.42	eV per formula unit
energy relative to the lowest polymorph listed for this composition	49.8	meV per atom